No. 1
Material: K4MoO5
Method: DFT, meta-GGA r2SCAN
State: optimized geometry

Cell: 6.254 10.166 16.864 Å, 94.39 92.55 96.13°
Space group P-1 (No. 2)
Inequivalent atoms, fractional coordinates:
K 0.009 0.010 0.179 (multiplicity 2)
K 0.058 0.580 0.417 (multiplicity 2)
K 0.074 0.351 0.219 (multiplicity 2)
K 0.076 0.192 0.005 (multiplicity 2)
K 0.231 0.539 0.058 (multiplicity 2)
K 0.244 0.954 0.428 (multiplicity 2)
K 0.267 0.406 0.852 (multiplicity 2)
K 0.280 0.114 0.654 (multiplicity 2)
K 0.431 0.910 0.094 (multiplicity 2)
K 0.446 0.499 0.679 (multiplicity 2)
K 0.447 0.163 0.290 (multiplicity 2)
K 0.459 0.297 0.495 (multiplicity 2)
Mo 0.063 0.775 0.592 (multiplicity 2)
Mo 0.218 0.733 0.249 (multiplicity 2)
Mo 0.399 0.743 0.903 (multiplicity 2)
O 0.039 0.881 0.684 (multiplicity 2)
O 0.049 0.308 0.713 (multiplicity 2)
O 0.072 0.183 0.499 (multiplicity 2)
O 0.089 0.759 0.146 (multiplicity 2)
O 0.140 0.635 0.924 (multiplicity 2)
O 0.185 0.338 0.380 (multiplicity 2)
O 0.212 0.628 0.582 (multiplicity 2)
O 0.272 0.896 0.926 (multiplicity 2)
O 0.324 0.883 0.573 (multiplicity 2)
O 0.342 0.160 0.125 (multiplicity 2)
O 0.343 0.593 0.206 (multiplicity 2)
O 0.352 0.904 0.253 (multiplicity 2)
O 0.359 0.718 0.351 (multiplicity 2)
O 0.372 0.660 0.802 (multiplicity 2)
O 0.460 0.319 0.012 (multiplicity 2)

Computed properties:
Size of the total moment, μB/cell: 0.000
Formation energy from the elements, eV/atom: -2.0500

---

No. 2
Material: BiAsO4
Method: DFT, meta-GGA r2SCAN
State: optimized geometry

Cell: 5.100 5.100 11.656 Å, 90.00 90.00 90.00°
Space group I4_1/a (No. 88, origin choice 2)
Inequivalent atoms, fractional coordinates:
Bi 0.000 0.250 0.125 (multiplicity 4)
As 0.000 0.250 0.625 (multiplicity 4)
O 0.142 0.496 0.703 (multiplicity 16)

Computed properties:
Size of the total moment, μB/cell: 0.000
Formation energy from the elements, eV/atom: -1.4567

---

No. 3
Material: Sr5As3H
Method: DFT, meta-GGA r2SCAN
State: optimized geometry

Cell: 8.9699 8.9699 7.1243 Å, 90.00 90.00 120.00°
Space group P6_3/mcm (No. 193)
Inequivalent atoms, fractional coordinates:
Sr 0.0000 0.2491 0.2500 (multiplicity 6)
Sr 0.3333 0.6667 0.0000 (multiplicity 4)
As 0.0000 0.3914 0.7500 (multiplicity 6)
H 0.0000 0.0000 0.0000 (multiplicity 2)

Computed properties:
Size of the total moment, μB/cell: 0.000
Formation energy from the elements, eV/atom: -1.2368